[1]
Entry from Materials Project: a relaxed ThFe2Ge2 crystal (r²SCAN).

Geometry as POSCAR:
```
ThFe2Ge2
1.0
-2.0228 2.0228 5.4055
2.0228 -2.0228 5.4055
2.0228 2.0228 -5.4055
Th Fe Ge
1 2 2
Cartesian
0.0000 0.0000 0.0000
2.0228 0.0000 2.7027
0.0000 2.0228 2.7027
0.0000 0.0000 4.1135
0.0000 0.0000 6.6975
```

Computed properties:
As for the space group: I4/mmm (139).

[2]
Entry from Materials Project: a relaxed Mg3CuO4 crystal (r²SCAN).

Geometry as POSCAR:
```
Mg3CuO4
1.0
4.1996 0.0000 0.0000
0.0000 4.1996 0.0000
0.0000 0.0000 4.1996
Mg Cu O
3 1 4
Cartesian
0.0000 0.0000 2.0998
0.0000 2.0998 0.0000
2.0998 0.0000 0.0000
2.0998 2.0998 2.0998
0.0000 0.0000 0.0000
0.0000 2.0998 2.0998
2.0998 0.0000 2.0998
2.0998 2.0998 0.0000
```

Computed properties:
As for the space group: Pm-3m (221).

[3]
Entry from Materials Project: a relaxed Li3PS4 crystal (r²SCAN).

Geometry as POSCAR:
```
Li3PS4
1.0
13.0328 0.0000 0.0000
0.0000 8.0186 0.0000
0.0000 0.0000 6.1718
Li P S
12 4 16
Cartesian
0.0000 0.0000 0.0000
0.0000 4.0093 0.0000
2.1824 0.2686 2.4033
2.1824 3.7407 2.4033
4.3340 4.2779 5.4892
4.3340 7.7500 5.4892
6.5164 0.0000 3.0859
6.5164 4.0093 3.0859
8.6988 0.2686 0.6826
8.6988 3.7407 0.6826
10.8504 4.2779 3.7685
10.8504 7.7500 3.7685
1.1660 6.0139 4.0264
5.3504 2.0046 0.9405
7.6824 6.0139 5.2313
11.8668 2.0046 2.1454
0.7733 2.0046 1.4046
1.3058 6.0139 2.0038
2.0052 4.3022 4.7582
2.0052 7.7257 4.7582
4.5112 0.2929 1.6723
4.5112 3.7164 1.6723
5.2107 2.0046 5.0897
5.7431 6.0139 4.4904
7.2897 2.0046 1.6813
7.8222 6.0139 1.0821
8.5217 4.3022 4.4994
8.5217 7.7257 4.4994
11.0276 0.2929 1.4136
11.0276 3.7164 1.4136
11.7271 2.0046 4.1679
12.2596 6.0139 4.7672
```

Computed properties:
As for the space group: Pnma (62).

[4]
Entry from Materials Project: a relaxed Li2Fe3SnO8 crystal (r²SCAN).

Geometry as POSCAR:
```
Li2Fe3SnO8
1.0
8.4132 0.0000 0.0000
0.0000 8.4132 0.0000
0.0000 0.0000 8.4132
Li Fe Sn O
8 12 4 32
Cartesian
1.0324 1.0324 1.0324
2.0918 2.1148 6.2984
2.1148 6.2984 2.0918
3.1742 7.3808 5.2390
5.2390 3.1742 7.3808
6.2984 2.0918 2.1148
6.3214 6.3214 6.3214
7.3808 5.2390 3.1742
0.9337 3.1895 3.1581
1.0171 5.2550 5.1402
1.0484 7.4795 7.3961
3.1581 0.9337 3.1895
3.1895 3.1581 0.9337
3.2729 5.2236 7.3647
5.1402 1.0171 5.2550
5.2236 7.3647 3.2729
5.2550 5.1402 1.0171
7.3647 3.2729 5.2236
7.3961 1.0484 7.4795
7.4795 7.3961 1.0484
0.0362 4.2428 8.3770
4.1704 4.1704 4.1704
4.2428 8.3770 0.0362
8.3770 0.0362 4.2428
0.9200 0.9213 7.3501
0.9213 7.3501 0.9200
0.9643 3.2423 5.1709
1.0631 5.1266 3.2852
1.0699 7.2634 5.3572
1.1498 1.1506 3.1366
1.1506 3.1366 1.1498
1.1836 5.3902 7.2296
3.0230 3.0230 3.0230
3.0560 5.2765 5.3564
3.0568 7.2626 7.3432
3.1366 1.1498 1.1506
3.1435 3.2866 7.4918
3.2423 5.1709 0.9643
3.2852 1.0631 5.1266
3.2866 7.4918 3.1435
5.1266 3.2852 1.0631
5.1279 5.2697 7.4932
5.1709 0.9643 3.2423
5.2697 7.4932 5.1279
5.2765 5.3564 3.0560
5.3572 1.0699 7.2634
5.3564 3.0560 5.2765
5.3902 7.2296 1.1836
7.2296 1.1836 5.3902
7.2634 5.3572 1.0699
7.2626 7.3432 3.0568
7.3432 3.0568 7.2626
7.3501 0.9200 0.9213
7.4489 7.4489 7.4489
7.4918 3.1435 3.2866
7.4932 5.1279 5.2697
```

Computed properties:
As for the space group: P2_13 (198).

[5]
Entry from Materials Project: a relaxed Dy2Re3Si5 crystal (r²SCAN).

Geometry as POSCAR:
```
Dy2Re3Si5
1.0
10.9441 0.0000 0.0000
0.0000 10.9441 0.0000
0.0000 0.0000 5.5078
Dy Re Si
8 12 20
Cartesian
0.8542 2.6002 0.0000
2.6002 10.0898 0.0000
2.8719 4.6178 2.7539
4.6178 8.0722 2.7539
6.3263 2.8719 2.7539
8.0722 6.3263 2.7539
8.3439 0.8542 0.0000
10.0898 8.3439 0.0000
0.0000 5.4720 1.3770
0.0000 5.4720 4.1309
1.3639 9.3285 2.7539
1.6156 1.3639 2.7539
3.8564 6.8359 0.0000
4.1081 3.8564 0.0000
5.4720 0.0000 1.3770
5.4720 0.0000 4.1309
6.8359 7.0876 0.0000
7.0876 4.1081 0.0000
9.3285 9.5802 2.7539
9.5802 1.6156 2.7539
0.0000 0.0000 1.3619
0.0000 0.0000 4.1459
0.2894 3.4380 2.7539
1.8834 7.3554 1.3770
1.8834 7.3554 4.1309
2.0340 5.1827 0.0000
3.4380 10.6547 2.7539
3.5886 1.8834 1.3770
3.5886 1.8834 4.1309
5.1827 8.9100 0.0000
5.4720 5.4720 1.3920
5.4720 5.4720 4.1158
5.7614 2.0340 0.0000
7.3554 9.0607 1.3770
7.3554 9.0607 4.1309
7.5061 0.2894 2.7539
8.9100 5.7614 0.0000
9.0607 3.5886 1.3770
9.0607 3.5886 4.1309
10.6547 7.5061 2.7539
```

Computed properties:
As for the space group: P4/mnc (128).

[6]
Entry from Materials Project: a relaxed MnZnSe2 crystal (r²SCAN).

Geometry as POSCAR:
```
MnZnSe2
1.0
2.0434 1.1798 6.6944
-2.0434 1.1798 6.6944
0.0000 -2.3595 6.6944
Mn Zn Se
1 1 2
Cartesian
0.0000 0.0000 0.0000
0.0000 0.0000 10.0271
0.0000 0.0000 2.5418
0.0000 0.0000 12.4822
```

Computed properties:
As for the space group: R3m (160).

[7]
Entry from Materials Project: a relaxed LuPO4 crystal (r²SCAN).

Geometry as POSCAR:
```
LuPO4
1.0
-3.3671 3.3671 2.9569
3.3671 -3.3671 2.9569
3.3671 3.3671 -2.9569
Lu P O
2 2 8
Cartesian
3.3671 1.6836 0.7392
0.0000 1.6836 2.2177
3.3671 -1.6836 2.2177
0.0000 5.0507 0.7392
3.3671 -0.4883 1.2532
3.3671 2.8788 -1.2532
1.1953 1.6836 0.2252
2.1718 -1.6836 3.1821
1.1953 5.0507 -0.2252
2.1718 1.6836 2.7316
0.0000 0.4883 4.2101
0.0000 3.8554 1.7037
```

Computed properties:
As for the space group: I4_1/amd (141).

[8]
Entry from Materials Project: a relaxed Te2Pd3 crystal (r²SCAN).

Geometry as POSCAR:
```
Te2Pd3
1.0
1.9487 -6.3820 0.0000
1.9487 6.3820 0.0000
0.0000 0.0000 7.9848
Te Pd
4 6
Cartesian
0.0000 0.0000 0.0000
0.0000 0.0000 3.9924
1.9487 3.0767 5.9886
1.9487 -3.0767 1.9962
1.9487 2.0836 0.5458
1.9487 2.0836 3.4466
1.9487 0.4252 5.9886
1.9487 -0.4252 1.9962
1.9487 -2.0836 4.5382
1.9487 -2.0836 7.4390
```

Computed properties:
As for the space group: Cmcm (63).

[9]
Entry from Materials Project: a relaxed NdMgCu4 crystal (r²SCAN).

Geometry as POSCAR:
```
NdMgCu4
1.0
0.0000 3.6309 3.6309
3.6309 0.0000 3.6309
3.6309 3.6309 0.0000
Nd Mg Cu
1 1 4
Cartesian
0.0000 0.0000 0.0000
5.4464 5.4464 5.4464
2.7387 2.7387 2.7387
4.5232 4.5232 2.7387
4.5232 2.7387 4.5232
2.7387 4.5232 4.5232
```

Computed properties:
As for the space group: F-43m (216).

no.,total energy (eV per atom),E_form (kJ per mole of atoms)
1,-26.434,-41.0
2,-8.319,-232.9
3,-7.114,-103.9
4,-10.315,-164.5
5,-27.151,-62.2
6,-13.948,-86.2
7,-15.196,-324.9
8,-24.281,-32.6
9,-13.011,-17.6